(1)
This record from Materials Project describes an optimized crystal structure of Bi2Te2S. The functional is PBE.

Calculated values
E above lowest polymorph = 22.55 kJ per mole of atoms
calculated density = 6.481 g/cm3
energy of formation = -15 kJ per mole of atoms
raw total energy = -3.69 eV/atom
space group = No. 12

Lattice parameters (Å, degrees): 9.6867 9.6867 4.4793 77.92 77.92 26.12
Closest atoms and distances in Å follow each position.
Sites, in units of the cell vectors:
Bi (0.1373, 0.1373, 0.8856)  1 S 2.53
Bi (0.8627, 0.8627, 0.1144)  1 S 2.53
Te (0.3240, 0.3240, 0.6622)  5 Bi 3.17-3.45
Te (0.6760, 0.6760, 0.3378)  5 Bi 3.17-3.45
S (0.0000, 0.0000, 0.0000)  2 Bi 2.53



(2)
This record from Materials Project describes an optimized crystal structure of ThC. The functional is PBE.

Calculated values
E above lowest polymorph = 0.00 kJ per mole of atoms
calculated density = 10.559 g/cm3
energy of formation = -27 kJ per mole of atoms
raw total energy = -8.60 eV/atom
space group = No. 225

Lattice parameters (Å, degrees): 3.7863 3.7863 3.7863 60.00 60.00 60.00
Closest atoms and distances in Å follow each position.
Sites, in units of the cell vectors:
Th (0.0000, 0.0000, 0.0000)  6 C 2.68
C (0.5000, 0.5000, 0.5000)  6 Th 2.68



(3)
This record from Materials Project describes an optimized crystal structure of Cs2GeSe4. The functional is PBE.

Calculated values
calculated density = 4.008 g/cm3
energy of formation = -102 kJ per mole of atoms
raw total energy = -3.70 eV/atom
space group = No. 12

Lattice parameters (Å, degrees): 8.7440 8.7440 10.3864 62.07 62.07 53.28
Closest atoms and distances in Å follow each position.
Sites, in units of the cell vectors:
Cs (0.1588, 0.1588, 0.7151)  9 Se 3.80-3.95
Cs (0.8412, 0.8412, 0.2849)  9 Se 3.80-3.95
Cs (0.4082, 0.4082, 0.8582)  9 Se 3.72-4.05
Cs (0.5918, 0.5918, 0.1418)  9 Se 3.72-4.05
Ge (0.1573, 0.1573, 0.2981)  4 Se 2.31-2.45
Ge (0.8427, 0.8427, 0.7019)  4 Se 2.31-2.45
Se (0.8394, 0.3321, 0.4661)  1 Se 2.39, 1 Ge 2.45
Se (0.3321, 0.8394, 0.4661)  1 Se 2.39, 1 Ge 2.45
Se (0.1606, 0.6679, 0.5339)  1 Se 2.39, 1 Ge 2.45
Se (0.6679, 0.1606, 0.5339)  1 Se 2.39, 1 Ge 2.45
Se (0.1256, 0.1256, 0.1043)  1 Ge 2.31
Se (0.8744, 0.8744, 0.8957)  1 Ge 2.31
Se (0.3152, 0.3152, 0.2697)  1 Ge 2.33
Se (0.6848, 0.6848, 0.7303)  1 Ge 2.33